Entry 1:
{
  "formula": "GaAgO2",
  "functional": "r2SCAN",
  "state": "optimized geometry",
  "e_form_mev_per_atom": -1433.6,
  "e_tot_ev_per_atom": -12.620,
  "spacegroup": "P6_3/mmc",
  "rho_kg_m3": 7235,
  "cell": [[2.9906, 0.0000, 0.0000], [-1.4953, 2.5900, 0.0000], [0.0000, 0.0000, 12.4214]],
  "species": ["Ga", "Ga", "Ag", "Ag", "O", "O", "O", "O"],
  "fractional_positions": [[0.0000, 0.0000, 0.0000], [0.0000, 0.0000, 0.5000], [0.3333, 0.6667, 0.2500], [0.6667, 0.3333, 0.7500], [0.3333, 0.6667, 0.0810], [0.3333, 0.6667, 0.4190], [0.6667, 0.3333, 0.5810], [0.6667, 0.3333, 0.9190]]
}



Entry 2:
{
  "formula": "GaAgO2",
  "functional": "r2SCAN",
  "state": "optimized geometry",
  "e_form_mev_per_atom": -1433.6,
  "e_tot_ev_per_atom": -12.620,
  "spacegroup": "R-3m",
  "rho_kg_m3": 7226,
  "cell": [[2.9915, 0.0000, 0.0000], [-1.4958, 2.5907, 0.0000], [0.0000, 0.0000, 18.6435]],
  "species": ["Ga", "Ga", "Ga", "Ag", "Ag", "Ag", "O", "O", "O", "O", "O", "O"],
  "fractional_positions": [[0.0000, 0.0000, 0.0000], [0.3333, 0.6667, 0.6667], [0.6667, 0.3333, 0.3333], [0.0000, 0.0000, 0.5000], [0.3333, 0.6667, 0.1667], [0.6667, 0.3333, 0.8333], [0.0000, 0.0000, 0.3873], [0.0000, 0.0000, 0.6127], [0.3333, 0.6667, 0.0540], [0.3333, 0.6667, 0.2794], [0.6667, 0.3333, 0.7206], [0.6667, 0.3333, 0.9460]]
}



Entry 3:
{
  "formula": "Pm2GaAg",
  "functional": "r2SCAN",
  "state": "optimized geometry",
  "e_form_mev_per_atom": -479.0,
  "e_tot_ev_per_atom": -23.449,
  "spacegroup": "Fm-3m",
  "rho_kg_m3": 7696,
  "cell": [[7.3897, 0.0000, 0.0000], [0.0000, 7.3897, 0.0000], [0.0000, 0.0000, 7.3897]],
  "species": ["Pm", "Pm", "Pm", "Pm", "Pm", "Pm", "Pm", "Pm", "Ga", "Ga", "Ga", "Ga", "Ag", "Ag", "Ag", "Ag"],
  "fractional_positions": [[0.2500, 0.2500, 0.2500], [0.2500, 0.2500, 0.7500], [0.2500, 0.7500, 0.2500], [0.2500, 0.7500, 0.7500], [0.7500, 0.2500, 0.2500], [0.7500, 0.2500, 0.7500], [0.7500, 0.7500, 0.2500], [0.7500, 0.7500, 0.7500], [0.0000, 0.0000, 0.0000], [0.0000, 0.5000, 0.5000], [0.5000, 0.0000, 0.5000], [0.5000, 0.5000, 0.0000], [0.0000, 0.0000, 0.5000], [0.0000, 0.5000, 0.0000], [0.5000, 0.0000, 0.0000], [0.5000, 0.5000, 0.5000]]
}



Entry 4:
{
  "formula": "GaAgSe2",
  "functional": "r2SCAN",
  "state": "optimized geometry",
  "e_form_mev_per_atom": -540.0,
  "e_tot_ev_per_atom": -15.895,
  "spacegroup": "I-42d",
  "rho_kg_m3": 5607,
  "cell": [[5.9847, 0.0000, 0.0000], [0.0000, 5.9847, 0.0000], [0.0000, 0.0000, 11.0977]],
  "species": ["Ga", "Ga", "Ga", "Ga", "Ag", "Ag", "Ag", "Ag", "Se", "Se", "Se", "Se", "Se", "Se", "Se", "Se"],
  "fractional_positions": [[0.0000, 0.0000, 0.0000], [0.0000, 0.5000, 0.2500], [0.5000, 0.0000, 0.7500], [0.5000, 0.5000, 0.5000], [0.0000, 0.0000, 0.5000], [0.0000, 0.5000, 0.7500], [0.5000, 0.0000, 0.2500], [0.5000, 0.5000, 0.0000], [0.2184, 0.7500, 0.1250], [0.2500, 0.2184, 0.8750], [0.2500, 0.2816, 0.3750], [0.2816, 0.7500, 0.6250], [0.7184, 0.2500, 0.6250], [0.7500, 0.7184, 0.3750], [0.7500, 0.7816, 0.8750], [0.7816, 0.2500, 0.1250]]
}